Entry 1:
Entry from the Materials Project: Na30Nb20Zn4Si33S3O144 after structural relaxation (PBE-GGA).

Cell lengths 18.1265, 9.0743, 22.5494 Å; angles 90.11, 89.92, 120.06 degrees
Element x y z (fractional)
Na: 0.3128 0.9796 0.2556
Na: 0.1850 0.3897 0.2572
Na: 0.6802 0.3840 0.2533
Na: 0.5071 0.6362 0.2602
Na: 0.3105 0.6387 0.7580
Na: 0.0057 0.3899 0.7562
Na: 0.1846 0.9776 0.7555
Na: 0.6497 0.3325 0.5840
Na: 0.6423 0.9672 0.0874
Na: 0.3403 0.7209 0.0897
Na: 0.5189 0.3161 0.0898
Na: 0.9886 0.6608 0.9139
Na: 0.3453 0.0286 0.9155
Na: 0.6657 0.2972 0.9157
Na: 0.4876 0.3165 0.4146
Na: 0.9902 0.3213 0.4145
Na: 0.3416 0.6605 0.4151
Na: 0.8429 0.6577 0.4142
Na: 0.0099 0.0065 0.5012
Na: 0.5012 0.9886 0.5025
Na: 0.0059 0.0161 0.0022
Na: 0.4985 0.9913 0.0066
Na: 0.3393 0.3453 0.8369
Na: 0.8290 0.3218 0.8312
Na: 0.3291 0.3257 0.3365
Na: 0.8335 0.3234 0.3330
Na: 0.1574 0.6560 0.1725
Na: 0.6755 0.6704 0.1748
Na: 0.1672 0.6776 0.6667
Na: 0.6681 0.6762 0.6668
Nb: 0.9933 0.9951 0.3569
Nb: 0.4945 0.9970 0.3552
Nb: 0.9938 0.9931 0.8580
Nb: 0.4983 0.9948 0.8553
Nb: 0.9935 0.9867 0.6408
Nb: 0.4985 0.9944 0.6454
Nb: 0.9938 0.9994 0.1423
Nb: 0.3410 0.3355 0.6844
Nb: 0.8306 0.3319 0.6895
Nb: 0.3379 0.3385 0.1851
Nb: 0.8407 0.3459 0.1871
Nb: 0.3306 0.3386 0.9791
Nb: 0.8351 0.3279 0.9788
Nb: 0.3309 0.3294 0.4811
Nb: 0.8336 0.3300 0.4805
Nb: 0.1641 0.6650 0.0203
Nb: 0.6694 0.6667 0.0220
Nb: 0.1649 0.6656 0.5218
Nb: 0.6666 0.6723 0.5195
Nb: 0.6653 0.6641 0.8098
Zn: 0.4945 0.0048 0.1461
Zn: 0.1646 0.6541 0.3198
Zn: 0.6696 0.6615 0.3192
Zn: 0.1681 0.6784 0.8216
Si: 0.3525 0.7073 0.2462
Si: 0.8529 0.7082 0.2496
Si: 0.9992 0.2913 0.2497
Si: 0.5015 0.2952 0.2467
Si: 0.6434 0.2871 0.7500
Si: 0.9997 0.7101 0.7493
Si: 0.5000 0.7096 0.7497
Si: 0.3546 0.0024 0.7503
Si: 0.8549 0.9990 0.7496
Si: 0.4815 0.3323 0.5805
Si: 0.9789 0.3361 0.5857
Si: 0.1881 0.0412 0.5854
Si: 0.6892 0.0406 0.5847
Si: 0.3317 0.6225 0.5840
Si: 0.8317 0.6193 0.5825
Si: 0.4811 0.6279 0.0823
Si: 0.9797 0.6263 0.0811
Si: 0.3307 0.0408 0.0809
Si: 0.8315 0.0447 0.0849
Si: 0.1873 0.3329 0.0846
Si: 0.6902 0.3354 0.0839
Si: 0.3091 0.6640 0.9136
Si: 0.8092 0.6633 0.9157
Si: 0.0241 0.3781 0.9130
Si: 0.5210 0.3799 0.9166
Si: 0.1675 0.9612 0.9144
Si: 0.6663 0.9513 0.9167
Si: 0.3058 0.9549 0.4131
Si: 0.8069 0.9558 0.4139
Si: 0.1670 0.3741 0.4151
Si: 0.6675 0.3729 0.4151
Si: 0.0243 0.6683 0.4149
Si: 0.5217 0.6684 0.4136
S: 0.1421 0.9997 0.2486
S: 0.6465 0.0058 0.2487
S: 0.1426 0.2820 0.7489
O: 0.1014 0.0237 0.3025
O: 0.6005 0.0266 0.3012
O: 0.4157 0.8012 0.3065
O: 0.9122 0.8014 0.3095
O: 0.4872 0.1676 0.3059
O: 0.9886 0.1699 0.3089
O: 0.1031 0.1790 0.8031
O: 0.5972 0.1702 0.8092
O: 0.4840 0.8044 0.8068
O: 0.9904 0.8091 0.8090
O: 0.4128 0.0274 0.8101
O: 0.9183 0.0282 0.8071
O: 0.4098 0.9884 0.6942
O: 0.9051 0.9796 0.6922
O: 0.0918 0.1987 0.6960
O: 0.5878 0.1969 0.6900
O: 0.0101 0.8376 0.6938
O: 0.5117 0.8282 0.6918
O: 0.3983 0.8138 0.1878
O: 0.9107 0.8278 0.1935
O: 0.0071 0.1803 0.1936
O: 0.5181 0.2154 0.1883
O: 0.0932 0.9883 0.1947
O: 0.5985 0.9842 0.1933
O: 0.4323 0.3580 0.6394
O: 0.9316 0.3599 0.6440
O: 0.2478 0.1383 0.6446
O: 0.7487 0.1364 0.6427
O: 0.3215 0.5035 0.6431
O: 0.8181 0.4957 0.6394
O: 0.4345 0.5031 0.1424
O: 0.9317 0.5023 0.1393
O: 0.3200 0.1380 0.1414
O: 0.8167 0.1393 0.1412
O: 0.2491 0.3630 0.1435
O: 0.7492 0.3602 0.1430
O: 0.2357 0.3094 0.0274
O: 0.7411 0.3172 0.0255
O: 0.4169 0.5216 0.0282
O: 0.9211 0.5360 0.0221
O: 0.3418 0.1631 0.0244
O: 0.8454 0.1633 0.0262
O: 0.2381 0.1652 0.5289
O: 0.7375 0.1674 0.5284
O: 0.3458 0.5300 0.5260
O: 0.8462 0.5338 0.5234
O: 0.4231 0.3105 0.5231
O: 0.9204 0.3072 0.5264
O: 0.2642 0.6990 0.9720
O: 0.7647 0.6924 0.9746
O: 0.0841 0.4733 0.9713
O: 0.5828 0.4702 0.9752
O: 0.1492 0.8277 0.9699
O: 0.6542 0.8388 0.9770
O: 0.2626 0.8271 0.4700
O: 0.7650 0.8308 0.4728
O: 0.1489 0.4694 0.4711
O: 0.6499 0.4639 0.4736
O: 0.0833 0.6964 0.4744
O: 0.5838 0.6920 0.4715
O: 0.0581 0.6113 0.3591
O: 0.5544 0.6196 0.3551
O: 0.2583 0.8874 0.3512
O: 0.7532 0.8770 0.3557
O: 0.1941 0.4845 0.3553
O: 0.6921 0.4853 0.3560
O: 0.0558 0.4910 0.8537
O: 0.5701 0.4994 0.8594
O: 0.1917 0.9006 0.8540
O: 0.6795 0.8568 0.8595
O: 0.2581 0.6322 0.8524
O: 0.7482 0.6326 0.8592
O: 0.0100 0.8351 0.4096
O: 0.5093 0.8368 0.4105
O: 0.4045 0.9732 0.4096
O: 0.9048 0.9729 0.4117
O: 0.0795 0.1856 0.4100
O: 0.5788 0.1858 0.4092
O: 0.0135 0.1869 0.9091
O: 0.5148 0.1921 0.9116
O: 0.0795 0.9728 0.9103
O: 0.5832 0.9788 0.9104
O: 0.4044 0.8430 0.9113
O: 0.9058 0.8314 0.9112
O: 0.4925 0.1656 0.5871
O: 0.9899 0.1673 0.5927
O: 0.0949 0.0275 0.5915
O: 0.5967 0.0315 0.5886
O: 0.4177 0.8108 0.5903
O: 0.9167 0.8097 0.5879
O: 0.4918 0.8126 0.0856
O: 0.9899 0.8137 0.0900
O: 0.4152 0.0249 0.0816
O: 0.9156 0.0226 0.0890
O: 0.0940 0.1633 0.0916
O: 0.5978 0.1668 0.0834
O: 0.3438 0.1741 0.7450
O: 0.8518 0.1763 0.7460
O: 0.2301 0.2983 0.7461
O: 0.7382 0.3047 0.7450
O: 0.4096 0.5246 0.7450
O: 0.9129 0.5221 0.7453
O: 0.3461 0.5140 0.2461
O: 0.8456 0.5170 0.2452
O: 0.4073 0.2937 0.2461
O: 0.9099 0.2975 0.2439
O: 0.2288 0.1645 0.2463
O: 0.7307 0.1683 0.2481
O: 0.3253 0.5040 0.9251
O: 0.8211 0.4960 0.9205
O: 0.4245 0.3474 0.9217
O: 0.9286 0.3567 0.9252
O: 0.2503 0.1495 0.9262
O: 0.7493 0.1466 0.9223
O: 0.3294 0.1537 0.4243
O: 0.8306 0.1538 0.4244
O: 0.2500 0.3494 0.4275
O: 0.7506 0.3492 0.4272
O: 0.4245 0.5040 0.4257
O: 0.9260 0.5037 0.4262
O: 0.1844 0.5091 0.0773
O: 0.6809 0.5069 0.0776
O: 0.0720 0.6380 0.0764
O: 0.5724 0.6318 0.0786
O: 0.2454 0.8516 0.0767
O: 0.7445 0.8599 0.0786
O: 0.1806 0.8565 0.5779
O: 0.6794 0.8532 0.5767
O: 0.2472 0.6396 0.5772
O: 0.7453 0.6316 0.5773
O: 0.0729 0.5054 0.5779
O: 0.5758 0.5012 0.5782
O: 0.1554 0.8552 0.2510
O: 0.6561 0.8551 0.2557
O: 0.2595 0.6872 0.2521
O: 0.7595 0.6828 0.2487
O: 0.0845 0.4714 0.2502
O: 0.5795 0.4875 0.2535
O: 0.1531 0.4537 0.7520
O: 0.6533 0.4762 0.7563
O: 0.0834 0.6905 0.7494
O: 0.5828 0.6868 0.7554
O: 0.2629 0.8313 0.7485
O: 0.7617 0.8296 0.7562

Entry 2:
Entry from the Materials Project: K3SrPCO7 after structural relaxation (PBE-GGA).

Cell lengths 7.5990, 5.7634, 10.0317 Å; angles 89.15, 90.00, 90.00 degrees
Element x y z (fractional)
K: 0.2500 0.7611 0.9164
K: 0.0054 0.2519 0.7420
K: 0.4946 0.2519 0.7420
K: 0.5054 0.7481 0.2580
K: 0.9946 0.7481 0.2580
K: 0.7500 0.2389 0.0836
Sr: 0.7500 0.7741 0.6344
Sr: 0.2500 0.2259 0.3656
P: 0.2500 0.7013 0.5894
P: 0.7500 0.2987 0.4106
C: 0.7500 0.7366 0.9369
C: 0.2500 0.2634 0.0631
O: 0.2500 0.2796 0.9335
O: 0.7500 0.9403 0.8778
O: 0.7500 0.5496 0.8644
O: 0.0825 0.7756 0.6690
O: 0.4175 0.7756 0.6690
O: 0.2500 0.4314 0.5760
O: 0.7500 0.1869 0.5537
O: 0.2500 0.8131 0.4463
O: 0.7500 0.5686 0.4240
O: 0.5825 0.2244 0.3310
O: 0.9175 0.2244 0.3310
O: 0.2500 0.4504 0.1356
O: 0.2500 0.0597 0.1222
O: 0.7500 0.7204 0.0665

Entry 3:
Entry from the Materials Project: OsN2Cl6 after structural relaxation (PBE-GGA).

Cell lengths 6.9155, 6.9155, 6.9155 Å; angles 60.00, 60.00, 60.00 degrees
Element x y z (fractional)
Os: 0.0000 0.0000 0.0000
N: 0.2500 0.2500 0.2500
N: 0.7500 0.7500 0.7500
Cl: 0.7658 0.2342 0.2342
Cl: 0.2342 0.7658 0.7658
Cl: 0.2342 0.7658 0.2342
Cl: 0.7658 0.2342 0.7658
Cl: 0.2342 0.2342 0.7658
Cl: 0.7658 0.7658 0.2342

Entry 4:
Entry from the Materials Project: SrMg6Sn after structural relaxation (PBE-GGA).

Relative energy among the computed polymorphs (eV per atom): 0.0000

Cell lengths 5.2594, 6.5574, 12.1249 Å; angles 90.00, 90.00, 90.00 degrees
Element x y z (fractional)
Sr: 0.5000 0.0000 0.6709
Sr: 0.5000 0.5000 0.1709
Mg: 0.5000 0.7513 0.9186
Mg: 0.5000 0.2487 0.9186
Mg: 0.0000 0.2586 0.5760
Mg: 0.0000 0.7414 0.5760
Mg: 0.0000 0.5000 0.8343
Mg: 0.0000 0.0000 0.8426
Mg: 0.5000 0.2513 0.4186
Mg: 0.5000 0.7487 0.4186
Mg: 0.0000 0.7586 0.0760
Mg: 0.0000 0.2414 0.0760
Mg: 0.0000 0.0000 0.3343
Mg: 0.0000 0.5000 0.3426
Sn: 0.5000 0.5000 0.6630
Sn: 0.5000 0.0000 0.1630

Number 1: DFT total energy -7.3465 eV/atom, V 3210.2 Å³/cell, formation enthalpy at 0 K -2.85 eV per atom. Number 2: DFT total energy -6.4220 eV/atom, V 439.3 Å³/cell, formation enthalpy at 0 K -2.62 eV per atom. Number 3: DFT total energy -3.4290 eV/atom, V 233.9 Å³/cell, formation enthalpy at 0 K 0.49 eV per atom. Number 4: DFT total energy -1.9510 eV/atom, V 418.2 Å³/cell, formation enthalpy at 0 K -0.04 eV per atom.